Record 1
VASP calculation (PBE+U) on a relaxed structure of Mn2Nb2Zn2O9.

Cell lengths 5.322, 5.322, 14.578 Å; angles 90.00, 90.00, 120.00 degrees
Fractional coordinates of all 30 atoms:
1 Mn 0.333 0.667 0.018
2 Mn 0.333 0.667 0.518
3 Mn 0.667 0.333 0.982
4 Mn 0.667 0.333 0.482
5 Nb 0.000 0.000 0.644
6 Nb 0.000 0.000 0.144
7 Nb 0.000 0.000 0.856
8 Nb 0.000 0.000 0.356
9 Zn 0.667 0.333 0.710
10 Zn 0.333 0.667 0.298
11 Zn 0.333 0.667 0.798
12 Zn 0.667 0.333 0.210
13 O 0.689 0.663 0.588
14 O 0.000 0.713 0.750
15 O 0.663 0.974 0.412
16 O 0.311 0.337 0.412
17 O 0.974 0.311 0.588
18 O 0.713 0.713 0.250
19 O 0.026 0.337 0.912
20 O 0.337 0.026 0.588
21 O 0.337 0.311 0.088
22 O 0.026 0.689 0.412
23 O 0.663 0.689 0.912
24 O 0.689 0.026 0.088
25 O 0.713 0.000 0.750
26 O 0.287 0.287 0.750
27 O 0.287 0.000 0.250
28 O 0.974 0.663 0.088
29 O 0.000 0.287 0.250
30 O 0.311 0.974 0.912

Summary:
Energy above the lowest structure with this stoichiometry = 592 meV per atom

---

Record 2
VASP calculation (PBE+U) on a relaxed structure of BaDyCo4O12.

Cell lengths 5.388, 5.388, 7.496 Å; angles 90.00, 90.00, 90.00 degrees
Fractional coordinates of all 18 atoms:
1 Ba 0.500 0.500 0.000
2 Dy 0.000 0.000 0.500
3 Co 0.000 0.500 0.750
4 Co 0.000 0.500 0.250
5 Co 0.500 0.000 0.250
6 Co 0.500 0.000 0.750
7 O 0.237 0.237 0.269
8 O 0.237 0.237 0.731
9 O 0.763 0.763 0.269
10 O 0.763 0.763 0.731
11 O 0.763 0.237 0.731
12 O 0.763 0.237 0.269
13 O 0.237 0.763 0.731
14 O 0.237 0.763 0.269
15 O 0.000 0.500 0.500
16 O 0.000 0.500 0.000
17 O 0.500 0.000 0.500
18 O 0.500 0.000 0.000

---

Record 3
VASP calculation (PBE+U) on a relaxed structure of Li9Mn2Co5O16.

Cell lengths 5.144, 7.699, 7.764 Å; angles 82.20, 71.12, 83.40 degrees
Fractional coordinates of all 32 atoms:
1 Li 0.506 0.815 0.056
2 Li 0.492 0.684 0.442
3 Li 0.500 0.441 0.190
4 Li 0.500 0.313 0.558
5 Li 0.495 0.064 0.317
6 Li 0.507 0.926 0.689
7 Li 0.496 0.570 0.807
8 Li 0.503 0.187 0.938
9 Li 0.999 0.748 0.751
10 Mn 0.002 0.999 0.997
11 Mn 0.004 0.378 0.875
12 Co 0.998 0.874 0.382
13 Co 0.006 0.628 0.118
14 Co 0.998 0.504 0.505
15 Co 0.995 0.255 0.255
16 Co 0.998 0.115 0.625
17 O 0.775 0.975 0.850
18 O 0.776 0.856 0.207
19 O 0.779 0.580 0.973
20 O 0.769 0.462 0.336
21 O 0.778 0.217 0.079
22 O 0.760 0.095 0.469
23 O 0.762 0.709 0.578
24 O 0.781 0.340 0.723
25 O 0.230 0.654 0.281
26 O 0.232 0.515 0.669
27 O 0.226 0.284 0.412
28 O 0.224 0.156 0.796
29 O 0.229 0.915 0.521
30 O 0.235 0.796 0.919
31 O 0.230 0.406 0.024
32 O 0.216 0.040 0.157

Summary:
Energy above the lowest structure with this stoichiometry = 21 meV per atom

---

Record 4
VASP calculation (PBE+U) on a relaxed structure of Mn2SiP4O14.

Cell lengths 9.047, 9.047, 12.562 Å; angles 77.42, 77.42, 33.23 degrees
Fractional coordinates of all 42 atoms:
1 Mn 0.910 0.597 0.631
2 Mn 0.403 0.090 0.869
3 Mn 0.090 0.403 0.369
4 Mn 0.597 0.910 0.131
5 Si 0.860 0.140 0.750
6 Si 0.140 0.860 0.250
7 P 0.704 0.029 0.417
8 P 0.971 0.296 0.083
9 P 0.296 0.971 0.583
10 P 0.029 0.704 0.917
11 P 0.527 0.227 0.634
12 P 0.773 0.473 0.866
13 P 0.473 0.773 0.366
14 P 0.227 0.527 0.134
15 O 0.897 0.980 0.332
16 O 0.020 0.103 0.168
17 O 0.103 0.020 0.668
18 O 0.980 0.897 0.832
19 O 0.162 0.233 0.547
20 O 0.767 0.838 0.953
21 O 0.838 0.767 0.453
22 O 0.233 0.162 0.047
23 O 0.572 0.739 0.627
24 O 0.261 0.428 0.873
25 O 0.428 0.261 0.373
26 O 0.739 0.572 0.127
27 O 0.697 0.119 0.518
28 O 0.881 0.303 0.982
29 O 0.285 0.625 0.180
30 O 0.375 0.715 0.320
31 O 0.715 0.375 0.820
32 O 0.625 0.285 0.680
33 O 0.490 0.228 0.121
34 O 0.772 0.510 0.379
35 O 0.510 0.772 0.879
36 O 0.228 0.490 0.621
37 O 0.377 0.002 0.297
38 O 0.998 0.623 0.203
39 O 0.623 0.998 0.703
40 O 0.002 0.377 0.797
41 O 0.119 0.697 0.018
42 O 0.303 0.881 0.482

---

In order of appearance, MP2020-corrected energy = -7.55 -6.61 -6.54 -8.15 eV per atom.
In order of appearance, calculated formation energy = -27.7 -24.7 -59.0 -56.5 eV per formula unit.
In order of appearance, magnetization = 0.00 0.87 0.19 0.48 μB per atom.